Computed, not measured: La2MgZr2O8 after structural relaxation at the GGA-PBE level of DFT.

Properties
The space group is I4/mmm, No. 139. For the uncorrected energy, the calculation gives -104.7 eV for the cell shown.

a = 5.5195 Å, b = 5.5195 Å, c = 6.7222 Å
α = 65.76°, β = 65.76°, γ = 90.00°
Element x y z (fractional)
O1 0.8760 0.3760 0.7371
O2 0.3869 0.8869 0.7371
O3 0.1240 0.1131 0.2629
O4 0.6131 0.6240 0.2629
O5 0.3869 0.3760 0.7371
O6 0.8760 0.8869 0.7371
O7 0.6131 0.1131 0.2629
O8 0.1240 0.6240 0.2629
La1 0.0000 0.0000 0.0000
La2 0.5000 0.5000 0.0000
Mg1 0.5000 0.0000 0.0000
Zr1 0.2215 0.7215 0.5569
Zr2 0.7785 0.2785 0.4431